No. 1
LiCdCoF6 after structural relaxation, computed with GGA+U.

a b c (Å): 5.1003 5.1003 9.6371
angles (deg): 90.00 90.00 120.00
With the nearest neighbours (Å) after each atom.
Atoms (fractional coordinates):
1 Cd 0.0000 0.0000 0.0000  6 F 2.28
2 F 0.3478 0.9761 0.6403  1 Co 1.87, 1 Li 2.03
3 Co 0.6667 0.3333 0.2500  6 F 1.87
4 F 0.6283 0.9761 0.8597  1 Co 1.87, 1 Li 2.03
5 F 0.0239 0.6522 0.8597  1 Co 1.87, 1 Li 2.03
6 Co 0.3333 0.6667 0.7500  6 F 1.87
7 F 0.3717 0.3478 0.3597  1 Co 1.87, 1 Li 2.03
8 Cd 0.0000 0.0000 0.5000  6 F 2.28
9 F 0.6522 0.0239 0.3597  1 Co 1.87, 1 Li 2.03
10 F 0.3717 0.0239 0.1403  1 Co 1.87, 1 Li 2.03
11 Li 0.3333 0.6667 0.2500  6 F 2.03
12 F 0.9761 0.3478 0.1403  1 Co 1.87, 1 Li 2.03
13 F 0.3478 0.3717 0.8597  1 Co 1.87, 1 Li 2.03
14 F 0.0239 0.3717 0.6403  1 Co 1.87, 1 Li 2.03
15 F 0.6522 0.6283 0.1403  1 Co 1.87, 1 Li 2.03
16 Li 0.6667 0.3333 0.7500  6 F 2.03
17 F 0.6283 0.6522 0.6403  1 Co 1.87, 1 Li 2.03
18 F 0.9761 0.6283 0.3597  1 Co 1.87, 1 Li 2.03

## Properties
Calculated formation energy   -22.4 eV/f.u.
Space-group type   P-31c, No. 163

***

No. 2
MgCd2Co4O8 after structural relaxation, computed with GGA+U.

a b c (Å): 6.0210 6.3342 6.2264
angles (deg): 60.56 90.00 118.38
With the nearest neighbours (Å) after each atom.
Atoms (fractional coordinates):
1 O 0.1624 0.7389 0.6305  3 Co 2.01-2.04, 1 Cd 2.24
2 Cd 0.0647 0.1293 0.9353  2 O 2.08
3 Mg 0.7735 0.5470 0.2265  4 O 1.98-2.10
4 Co 0.8662 0.1698 0.4151  5 O 1.99-2.13
5 O 0.1689 0.3378 0.5353  3 Co 1.95-1.99, 1 Cd 2.08
6 O 0.6089 0.7756 0.1122  1 Mg 1.98, 2 Co 2.04
7 Co 0.3036 0.1698 0.4151  5 O 1.99-2.13
8 O 0.1689 0.3378 0.1269  3 Co 1.95-1.99, 1 Cd 2.08
9 O 0.1667 0.7756 0.1122  1 Mg 1.98, 2 Co 2.04
10 O 0.5765 0.7389 0.6305  3 Co 2.01-2.04, 1 Cd 2.24
11 Co 0.3774 0.7547 0.3706  6 O 1.95-2.04
12 Co 0.3774 0.7547 0.8747  6 O 1.95-2.04
13 O 0.5932 0.1863 0.2009  3 Co 2.02-2.13, 1 Mg 2.10, 1 Cd 2.17
14 O 0.5932 0.1863 0.6128  3 Co 2.02-2.13, 1 Mg 2.10, 1 Cd 2.17
15 Cd 0.7194 0.4389 0.7806  4 O 2.17-2.24

## Properties
Calculated formation energy   -19.0 eV/f.u.
Space-group type   Imm2, No. 44
Relative energy among the computed polymorphs   98 meV per atom

***

No. 3
MgCd2Co2O6 after structural relaxation, computed with GGA+U.

a b c (Å): 6.2199 6.2201 6.2200
angles (deg): 48.16 48.16 48.16
With the nearest neighbours (Å) after each atom.
Atoms (fractional coordinates):
1 O 0.0809 0.7800 0.4454  2 Co 1.95-1.98, 1 Mg 2.07
2 Cd 0.6670 0.6670 0.6670  6 O 2.33-2.45
3 Co 0.1610 0.1610 0.1610  6 O 1.95-1.98
4 O 0.9191 0.2200 0.5546  2 Co 1.95-1.98, 1 Mg 2.07
5 O 0.2200 0.5546 0.9191  2 Co 1.95-1.98, 1 Mg 2.07
6 Co 0.8390 0.8390 0.8390  6 O 1.95-1.98
7 O 0.5546 0.9191 0.2200  2 Co 1.95-1.98, 1 Mg 2.07
8 Mg 0.5000 0.5000 0.5000  6 O 2.07
9 O 0.7800 0.4454 0.0809  2 Co 1.95-1.98, 1 Mg 2.07
10 Cd 0.3330 0.3330 0.3330  6 O 2.33-2.45
11 O 0.4454 0.0809 0.7800  2 Co 1.95-1.98, 1 Mg 2.07

## Properties
Calculated formation energy   -16.4 eV/f.u.
Space-group type   R-3, No. 148
Relative energy among the computed polymorphs   45 meV per atom

***

No. 4
MgCd2Co4O8 after structural relaxation, computed with GGA+U.

a b c (Å): 7.2495 6.5098 7.2495
angles (deg): 56.16 90.00 123.84
With the nearest neighbours (Å) after each atom.
Atoms (fractional coordinates):
1 Cd 0.7500 0.5000 0.7500  4 O 2.21
2 O 0.5941 0.1882 0.6540  1 Co 1.83, 1 Mg 1.95
3 Cd 0.0000 0.0000 0.0000  4 O 2.31
4 O 0.1578 0.8118 0.5941  1 Co 1.83, 1 Mg 1.95
5 O 0.1378 0.7184 0.1408  3 Co 1.91-2.06
6 O 0.1408 0.2816 0.1378  3 Co 1.91-2.06
7 Co 0.9467 0.2486 0.3757  2 O 1.83-1.91
8 O 0.5941 0.1882 0.1578  1 Co 1.83, 1 Mg 1.95
9 Co 0.3757 0.7514 0.3019  2 O 1.83-1.91
10 O 0.1408 0.2816 0.5806  3 Co 1.91-2.06
11 O 0.6540 0.8118 0.5941  1 Co 1.83, 1 Mg 1.95
12 Mg 0.5000 0.0000 0.5000  4 O 1.95
13 Co 0.3757 0.7514 0.9467  2 O 1.83-1.91
14 O 0.5806 0.7184 0.1408  3 Co 1.91-2.06
15 Co 0.3019 0.2486 0.3757  2 O 1.83-1.91

## Properties
Calculated formation energy   -17.2 eV/f.u.
Space-group type   I-4m2, No. 119
Relative energy among the computed polymorphs   218 meV per atom

***

No. 5
MgCd2Co2O6 after structural relaxation, computed with GGA+U.

a b c (Å): 5.9219 5.9144 5.9282
angles (deg): 54.07 54.04 54.12
With the nearest neighbours (Å) after each atom.
Atoms (fractional coordinates):
1 O 0.1823 0.5853 0.9699  2 Co 1.98-2.12, 1 Mg 2.10
2 Cd 0.3767 0.3768 0.3768  3 O 2.22
3 Co 0.8230 0.8237 0.8237  6 O 1.98-2.12
4 Mg 0.0000 0.0000 0.0000  6 O 2.10
5 O 0.8177 0.4147 0.0301  2 Co 1.98-2.12, 1 Mg 2.10
6 O 0.0303 0.8183 0.4134  2 Co 1.99-2.11, 1 Mg 2.10, 1 Cd 2.22
7 Cd 0.6233 0.6232 0.6232  3 O 2.22
8 O 0.4146 0.0303 0.8173  2 Co 1.98-2.11, 1 Mg 2.10
9 O 0.5854 0.9697 0.1827  2 Co 1.98-2.11, 1 Mg 2.10
10 O 0.9697 0.1817 0.5866  2 Co 1.99-2.11, 1 Mg 2.10, 1 Cd 2.22
11 Co 0.1770 0.1763 0.1763  6 O 1.98-2.12

## Properties
Calculated formation energy   -16.7 eV/f.u.
Space-group type   P-1, No. 2
Relative energy among the computed polymorphs   14 meV per atom

***

No. 6
MgCd2Co4O8 after structural relaxation, computed with GGA+U.

a b c (Å): 6.5082 6.3696 6.0488
angles (deg): 63.41 85.87 118.42
With the nearest neighbours (Å) after each atom.
Atoms (fractional coordinates):
1 Co 0.4243 0.8935 0.2630  4 O 1.98-2.05
2 O 0.5404 0.7169 0.1313  3 Co 2.00-2.07, 1 Cd 2.11
3 O 0.6474 0.2696 0.6306  1 Co 1.79
4 Co 0.4399 0.8890 0.8148  2 O 1.79-2.00
5 Mg 0.2634 0.4612 0.7402  4 O 1.96-2.05
6 Co 0.3496 0.2805 0.3375  4 O 1.86-2.05
7 O 0.2078 0.7806 0.6112  2 Co 2.05-2.08, 1 Mg 2.05, 1 Cd 2.16
8 O 0.6192 0.2914 0.1708  2 Co 1.91-1.98
9 O 0.1272 0.2348 0.1288  1 Mg 1.96, 2 Co 1.99-2.14
10 Cd 0.9130 0.8510 0.0971  3 O 2.11-2.27
11 O 0.1224 0.2077 0.6118  1 Co 1.86, 1 Mg 1.97
12 O 0.6161 0.8110 0.5947  1 Mg 2.02, 2 Co 2.06-2.15, 1 Cd 2.19
13 Cd 0.8129 0.6058 0.7321  4 O 2.16-2.28
14 Co 0.8969 0.2637 0.3681  6 O 2.12-2.27
15 O 0.1549 0.7142 0.1328  3 Co 2.00-2.12, 1 Cd 2.11

## Properties
Calculated formation energy   -19.9 eV/f.u.
Space-group type   P1, No. 1
Relative energy among the computed polymorphs   34 meV per atom

***

No. 7
MgCd2Co4O8 after structural relaxation, computed with GGA+U.

a b c (Å): 6.5184 6.0609 5.8663
angles (deg): 61.06 90.00 119.48
With the nearest neighbours (Å) after each atom.
Atoms (fractional coordinates):
1 Co 0.3691 0.6916 0.9070  6 O 1.92-2.01
2 O 0.5806 0.1500 0.1887  3 Co 1.99-2.01, 1 Mg 2.14
3 Co 0.8478 0.3251 0.3374  3 O 1.96-2.00
4 Co 0.3691 0.6916 0.4014  6 O 1.92-2.01
5 O 0.1836 0.2447 0.1419  2 Co 1.97-2.03, 1 Mg 2.11
6 Cd 0.8833 0.1593 0.9204  4 O 2.15-2.33
7 O 0.1836 0.2447 0.6135  2 Co 1.97-2.03, 1 Mg 2.11
8 O 0.5431 0.6558 0.6721  2 Co 1.94, 1 Cd 2.08, 1 Mg 2.08
9 Co 0.4028 0.2281 0.3859  5 O 1.99-2.08
10 O 0.5806 0.1500 0.6613  3 Co 1.99-2.01, 1 Mg 2.14
11 O 0.1636 0.6687 0.6657  2 Co 1.96, 1 Cd 2.16
12 Mg 0.3712 0.1850 0.9075  6 O 2.08-2.14
13 Cd 0.9188 0.8230 0.5885  2 O 2.08-2.16
14 O 0.5637 0.6955 0.1522  3 Co 1.92-2.08
15 O 0.1746 0.7120 0.1440  3 Co 1.96-1.97, 1 Mg 2.08

## Properties
Calculated formation energy   -20.4 eV/f.u.
Space-group type   Cm, No. 8
Relative energy among the computed polymorphs   0 meV per atom

***

No. 8
MgCd2Co2O6 after structural relaxation, computed with GGA+U.

a b c (Å): 5.7758 5.9033 5.8560
angles (deg): 54.44 55.09 54.41
With the nearest neighbours (Å) after each atom.
Atoms (fractional coordinates):
1 O 0.3665 0.9981 0.7961  1 Co 1.92, 1 Mg 2.06
2 Cd 0.3554 0.3556 0.3515  3 O 2.21-2.23
3 Mg 0.8013 0.7979 0.7965  6 O 2.06-2.16
4 O 0.8141 0.3590 0.0054  2 Co 1.96-2.03, 1 Mg 2.10
5 O 0.1525 0.5830 0.9536  2 Co 1.97-2.14, 1 Mg 2.09, 1 Cd 2.20
6 O 0.9402 0.1611 0.5790  2 Co 1.98-2.05, 1 Mg 2.13, 1 Cd 2.19
7 Co 0.9758 0.9769 0.9733  6 O 1.92-2.01
8 Co 0.1548 0.1415 0.1618  6 O 1.94-2.17
9 O 0.0090 0.8064 0.3599  2 Co 1.95-2.03, 1 Mg 2.10
10 Cd 0.5937 0.6011 0.5984  3 O 2.19-2.23
11 O 0.5660 0.9590 0.1537  2 Co 1.94-2.01, 1 Mg 2.16

## Properties
Calculated formation energy   -16.9 eV/f.u.
Space-group type   P1, No. 1
Relative energy among the computed polymorphs   0 meV per atom